Here is crystalline Na2PdCl4 at its relaxed geometry from Materials Project. Energies are from r2SCAN.

Results
- ΔH_f (0 K): -1.4177 eV/atom

```
data_Na2PdCl4
_cell_length_a 9.560
_cell_length_b 9.560
_cell_length_c 7.405
_cell_angle_alpha 90.00
_cell_angle_beta 90.00
_cell_angle_gamma 90.00
_symmetry_space_group_name_H-M 'P 1'
_symmetry_Int_Tables_number 1
loop_
_symmetry_equiv_pos_as_xyz
'x,y,z'
loop_
_atom_site_label
_atom_site_type_symbol
_atom_site_fract_x
_atom_site_fract_y
_atom_site_fract_z
_atom_site_occupancy
Pd1 Pd 0.000 0.500 0.064 1
Pd2 Pd 0.500 0.000 0.436 1
Pd3 Pd 0.500 0.000 0.936 1
Pd4 Pd 0.000 0.500 0.564 1
Cl1 Cl 0.763 0.445 0.069 1
Cl2 Cl 0.237 0.445 0.569 1
Cl3 Cl 0.445 0.763 0.431 1
Cl4 Cl 0.763 0.555 0.569 1
Cl5 Cl 0.737 0.945 0.431 1
Cl6 Cl 0.555 0.763 0.931 1
Cl7 Cl 0.263 0.945 0.931 1
Cl8 Cl 0.263 0.055 0.431 1
Cl9 Cl 0.555 0.237 0.431 1
Cl10 Cl 0.055 0.737 0.569 1
Cl11 Cl 0.237 0.555 0.069 1
Cl12 Cl 0.945 0.263 0.569 1
Cl13 Cl 0.055 0.263 0.069 1
Cl14 Cl 0.445 0.237 0.931 1
Cl15 Cl 0.737 0.055 0.931 1
Cl16 Cl 0.945 0.737 0.069 1
Na1 Na 0.194 0.194 0.750 1
Na2 Na 0.806 0.806 0.750 1
Na3 Na 0.306 0.306 0.250 1
Na4 Na 0.694 0.306 0.750 1
Na5 Na 0.194 0.806 0.250 1
Na6 Na 0.806 0.194 0.250 1
Na7 Na 0.306 0.694 0.750 1
Na8 Na 0.694 0.694 0.250 1
```